## a
Below is an optimized crystal structure of CoNi2O4, with properties calculated at the PBE with a Hubbard U level.

```
14
Lattice="0.0000 4.1324 4.1324 4.1324 0.0000 4.1324 4.1324 4.1324 0.0000" Properties=species:S:1:pos:R:3 pbc="T T T"
O 5.2376 7.1596 5.2376
O 7.1596 5.2376 5.2376
O 5.0934 5.0934 3.1714
O 5.2376 5.2376 7.1596
O 3.1714 5.0934 5.0934
Ni 5.1655 5.1655 5.1655
Ni 5.1655 3.0993 3.0993
Ni 3.0993 3.0993 5.1655
Ni 3.0993 5.1655 3.0993
O 7.1596 7.1596 7.1596
O 5.0934 3.1714 5.0934
Co 0.0000 0.0000 0.0000
O 3.1714 3.1714 3.1714
Co 2.0662 2.0662 2.0662
```

***

## b
Below is an optimized crystal structure of CoNi2O4, with properties calculated at the PBE with a Hubbard U level.

```
28
Lattice="5.8761 0.0000 0.0000 0.0000 5.0405 0.0000 0.0000 4.6907 9.4975" Properties=species:S:1:pos:R:3 pbc="T T T"
O 2.2217 2.9330 1.0739
O 0.7808 5.3688 1.1834
Ni 0.7039 3.7240 2.3574
Co 5.0375 6.2162 4.4778
Ni 5.1106 1.2376 0.2810
O 2.1584 4.3244 3.6781
Co 2.0995 1.1696 0.2709
O 5.1598 4.4528 3.6748
O 5.0964 3.0614 1.0707
Ni 5.1721 6.0071 7.1402
O 3.7188 2.0170 3.5654
O 5.0953 4.3624 8.3141
O 3.6543 6.7981 8.4236
Ni 3.7035 3.5830 5.0297
O 0.6509 2.1208 3.6540
O 5.2251 7.6104 5.8435
Ni 2.1726 6.1482 4.4678
Co 0.8386 3.5150 5.0197
O 3.5889 5.2650 1.0948
Ni 3.6420 3.6618 2.3914
O 3.7177 5.4068 5.8194
O 2.1573 7.7141 5.9321
Co 3.7766 8.5615 9.2266
Ni 0.7655 8.4936 9.2166
O 0.7163 5.2784 5.8227
O 2.2871 4.4661 8.4028
O 0.7797 6.6697 8.4269
Ni 2.2341 6.0694 7.1061
```

***

Most stable pick: a. Distance to second place: 90 meV/atom.

***

## a
Below is an optimized crystal structure of Co3Ni2Te3O16, with properties calculated at the PBE with a Hubbard U level.

```
24
Lattice="-3.3053 -4.8536 -0.4888 1.4139 -3.9989 -4.0903 5.3936 -4.2999 6.0470" Properties=species:S:1:pos:R:3 pbc="T T T"
Ni 1.3680 -8.1248 -0.1355
O 1.5006 -4.6928 0.8527
Co 1.9358 -4.7066 -1.0396
O -0.6493 -3.2336 0.5691
O -0.1543 -7.0703 0.6874
Te 4.3002 -8.3237 1.1982
Co 2.6775 -10.7446 0.9586
O 3.2322 -9.2604 -0.1337
O 1.4176 -2.8593 -1.0082
O -0.8943 -9.5958 -3.4489
O 2.8212 -7.7926 4.4330
O 0.4858 -9.0908 -1.5208
O 1.7481 -11.6992 -0.4858
Co -0.3881 -5.1274 0.7339
O 1.1803 -9.6320 1.4322
Te 1.2484 -2.7049 0.9940
O 2.6041 -7.3758 1.6619
Ni -0.5175 -3.1710 -1.4306
O 2.2719 -6.6309 -1.1641
O 4.5368 -5.3470 4.6758
O 0.0484 -5.0060 -1.1245
Te 1.9744 -8.7449 2.9732
O 5.2644 -7.3501 2.5683
O 3.6116 -9.8226 2.4014
```

***

## b
Below is an optimized crystal structure of Co3Ni2Te3O16, with properties calculated at the PBE with a Hubbard U level.

```
24
Lattice="5.9432 0.0000 0.0000 -2.9480 -5.2408 0.0000 -0.0268 0.0085 -9.1914" Properties=species:S:1:pos:R:3 pbc="T T T"
O -1.5914 -4.3197 -8.2210
O 3.0651 -1.8165 -8.3522
Co -0.0002 -1.7401 -2.6373
O -0.0937 -1.6543 -8.2468
O 1.3049 -2.7150 -1.5525
O 1.5065 -4.3829 -8.2619
Te 2.9807 -3.4860 -7.2083
O 2.9181 -5.1956 -6.1726
Co -1.4611 -4.3757 -2.6718
O 3.0206 -3.5753 -3.6389
Te 1.4971 -4.3594 -2.6470
O 1.6959 -2.5964 -6.1178
O 3.0005 -5.1254 -1.6285
O -0.0520 -5.0109 -1.5532
Ni -0.1014 -3.4278 -0.1225
Te 4.4494 -0.8812 -7.2235
Co 1.4839 -0.8741 -7.2704
O 0.0101 -3.6262 -3.7216
O -1.2480 -2.7475 -1.7238
O 4.3490 -2.5345 -6.0626
O 4.5137 -0.8345 -3.6057
O 1.3872 -0.8259 -3.5157
O 3.0458 -0.2147 -6.1241
Ni 2.9265 -1.7075 -4.6305
```

***

Most stable pick: a. Distance to second place: 8 meV/atom.

***

## a
Below is an optimized crystal structure of Co3O4, with properties calculated at the PBE with a Hubbard U level.

```
14
Lattice="1.7200 4.7862 2.9487 -0.0244 -0.0161 5.9395 5.0841 0.0273 2.9478" Properties=species:S:1:pos:R:3 pbc="T T T"
Co 6.7756 4.7937 5.9227
Co 4.2495 3.0064 4.4278
O 5.0303 1.9405 8.9347
O 2.6318 1.8609 7.3153
O 4.9700 1.8954 5.8592
O 3.4443 4.0562 5.8604
Co 4.2373 2.9984 7.3975
Co 1.7233 1.2191 2.9328
Co 1.6952 2.9847 5.9236
O 5.8198 4.1180 10.2714
O 3.5045 4.1013 8.9359
O 5.8427 4.1358 7.4798
Co 3.3773 0.6053 5.9232
O 2.6547 1.8787 4.5236
```

***

## b
Below is an optimized crystal structure of Co3O4, with properties calculated at the PBE with a Hubbard U level.

```
14
Lattice="1.7106 4.8480 2.9721 0.0004 0.0003 5.9449 5.1410 -0.0035 2.9721" Properties=species:S:1:pos:R:3 pbc="T T T"
Co 3.4320 0.6218 5.9446
Co 1.7304 3.0284 5.9446
O 2.6331 1.8617 4.5740
Co 4.2944 3.0365 4.4470
O 5.9172 4.1841 10.2947
O 5.1354 1.9539 8.9169
Co 0.0064 0.0045 5.9449
O 5.0003 1.8499 5.9444
Co 4.2946 3.0366 7.4419
Co 1.7182 1.2149 2.9723
O 3.5540 4.1900 8.9169
O 3.4107 4.0975 5.9444
O 5.9170 4.1839 7.5387
O 2.6334 1.8618 7.3153
```

***

## c
Below is an optimized crystal structure of Co3O4, with properties calculated at the PBE with a Hubbard U level.

```
14
Lattice="1.5320 4.7579 3.0583 0.0005 0.0002 6.1173 4.9965 -0.1417 3.0583" Properties=species:S:1:pos:R:3 pbc="T T T"
Co 1.6661 1.1781 3.0584
Co 4.0803 2.8852 4.5875
Co 1.5824 2.9561 6.1170
O 3.2102 3.9622 6.1168
O 2.5448 1.7993 7.5425
Co 6.4946 4.5923 6.1166
Co 3.3146 0.5064 6.1170
O 2.5446 1.7992 4.6915
O 3.3555 4.0649 9.1754
O 5.6166 3.9714 10.6008
Co 4.0806 2.8853 7.6461
O 5.6164 3.9713 7.7498
O 4.8057 1.7058 6.1169
O 4.9510 1.8085 9.1755
```

***

Most stable pick: a. Distance to second place: 10 meV/atom.

***

## a
Below is an optimized crystal structure of Co7O12, with properties calculated at the PBE with a Hubbard U level.

```
19
Lattice="4.3147 2.4552 0.0000 -4.3147 2.4552 0.0000 0.0000 2.0922 9.3925" Properties=species:S:1:pos:R:3 pbc="T T T"
O -1.8702 3.6936 8.3594
O -0.8437 0.9967 1.0898
O -0.8058 2.6529 3.7418
O -1.8702 3.3091 1.0331
Co -0.5122 2.4552 0.0000
Co -2.3250 5.1760 7.2598
Co -2.2115 3.5013 4.6962
O 1.9888 2.8222 3.6078
O 0.7448 1.9175 5.7331
Co 0.6552 3.5013 4.6962
O -0.8437 6.0059 8.3027
Co -2.3250 1.8267 2.1327
O -0.8058 4.3497 5.6506
Co 2.2745 2.4552 0.0000
Co 3.5370 3.5013 4.6962
O 1.9888 4.1805 5.7847
O 0.9004 3.7840 8.4185
O 0.9004 3.2186 0.9739
O 0.7448 5.0851 3.6594
```

***

## b
Below is an optimized crystal structure of Co7O12, with properties calculated at the PBE with a Hubbard U level.

```
19
Lattice="4.9755 0.2744 -0.2673 2.4158 4.3378 0.1677 -0.9254 1.2680 9.6087" Properties=species:S:1:pos:R:3 pbc="T T T"
Co 0.3187 0.6792 2.3729
O 4.4626 2.3563 1.3453
Co 2.8293 2.2286 2.3990
Co 0.6490 3.6305 9.4168
O 5.0417 3.6710 5.9990
O 3.6245 0.7389 3.2835
O 2.9755 5.0775 6.1733
O 2.5974 2.2898 6.1138
O 4.6341 2.4904 8.1019
Co 3.5163 3.5818 7.1164
O 2.0040 3.3801 8.2742
O 1.3227 2.0478 3.4986
O 1.8248 3.5391 1.4533
O 4.2327 4.9338 8.2333
Co 1.1413 2.0550 7.1980
Co 2.2071 0.8049 4.8261
O 3.6978 3.7038 3.3857
O 2.0148 0.9578 1.3081
Co 5.2894 3.7632 2.3309
```

***

Most stable pick: a. Distance to second place: 27 meV/atom.

***

## a
Below is an optimized crystal structure of Co2P2O7, with properties calculated at the PBE with a Hubbard U level.

```
22
Lattice="3.7069 -3.5862 1.3802 -6.2291 -5.7561 -3.2248 1.7488 1.9174 -4.6840" Properties=species:S:1:pos:R:3 pbc="T T T"
O 3.0610 -1.2609 -3.9274
P 0.8653 -4.4518 -4.3555
O -4.4308 -4.4928 -4.4478
O -6.2288 -5.7558 -3.2251
Co -1.5815 -6.1920 -2.9216
O -3.1144 -2.8781 -1.6126
O -0.0556 -4.1296 -5.5448
O 3.6572 -2.9326 -2.0836
P -4.7530 -5.8462 -3.7916
P -1.6385 -2.9735 -2.1724
O -1.3164 -1.6169 -2.8192
O 0.9400 -3.3013 -3.3362
O -3.8342 -6.1605 -2.6007
O -1.7130 -4.1206 -3.1952
O -2.1734 -6.1880 -4.9358
P 3.9800 -1.5780 -2.7377
O 1.4015 -1.2392 -1.5903
Co -2.3092 -4.1229 -5.1992
Co 0.8069 -1.2295 -3.6034
O 0.5438 -5.8068 -3.7069
O -0.7175 -3.2969 -0.9845
Co 1.5332 -3.3086 -1.3312
```

***

## b
Below is an optimized crystal structure of Co2P2O7, with properties calculated at the PBE with a Hubbard U level.

```
22
Lattice="4.5455 -0.0199 0.0003 -0.7562 5.4433 0.0000 -0.0004 -0.0001 9.9457" Properties=species:S:1:pos:R:3 pbc="T T T"
P 3.3790 3.5470 1.0829
O 1.7067 0.1422 6.7957
P 0.4106 1.8768 8.8633
Co 2.5038 2.2024 6.5702
Co 2.1292 4.9249 8.3476
O 0.2989 1.4441 2.9811
O 3.8678 1.2574 7.9542
O 2.5736 4.6257 0.3470
O 2.0808 5.2806 3.1518
Co 1.6636 0.4994 1.5972
O 1.3298 2.8643 8.1245
P 3.7563 0.8249 3.8907
O 2.4604 2.5595 1.8229
O 4.5452 -0.0198 4.9734
O 1.2151 0.7974 9.5992
P 0.0317 4.5979 6.0556
O -0.0777 4.1670 1.9910
O -0.3781 2.7215 0.0002
O 2.9518 1.9042 4.6265
O 3.4887 3.9781 6.9641
O 0.8373 3.5194 5.3197
Co 1.2811 3.2200 3.3747
```

***

Most stable pick: b. Distance to second place: 6 meV/atom.

***

## a
Below is an optimized crystal structure of Co2P2O7, with properties calculated at the PBE with a Hubbard U level.

```
44
Lattice="8.4424 0.0000 0.0000 0.0000 7.0780 0.0000 0.0000 3.5887 8.3782" Properties=species:S:1:pos:R:3 pbc="T T T"
Co 7.9132 3.2847 2.6558
O 3.3949 1.5518 3.1884
O 0.9517 6.3716 7.5309
Co 7.8197 4.8374 7.4678
O 6.4718 4.2957 3.7903
Co 4.8439 3.0431 3.2787
Co 3.5985 7.6237 5.0995
O 6.1918 6.0901 7.9794
Co 4.7504 5.0791 6.8449
O 5.1581 6.9188 1.5987
Co 0.5292 7.3820 5.7224
P 2.3263 6.7772 8.1050
O 2.0446 8.7767 5.8930
P 1.9591 3.1717 6.3478
P 6.1803 9.2894 6.2195
Co 0.6227 5.8293 0.9104
O 7.0106 6.7361 3.3557
O 2.7894 2.1363 0.8334
O 5.0475 9.1150 5.1898
O 0.8263 3.3461 7.3775
O 6.3978 1.8901 2.4852
O 7.4907 4.2951 0.8473
P 6.4833 7.4951 2.0304
O 5.6530 8.5304 7.5448
P 2.2621 1.3773 2.1587
O 5.1729 6.0895 5.0364
O 1.9706 6.3710 4.5879
O 4.9863 3.9782 1.3109
O 1.4318 3.9307 5.0225
P 6.1161 3.8895 0.2732
O 3.2695 4.5773 3.3418
O 3.2843 3.7480 6.7795
O 6.2658 3.6844 6.6743
O 7.6773 5.7726 5.5000
P 1.8949 4.9829 3.9159
O 7.6161 7.3206 1.0007
O 0.9369 1.9536 2.5904
P 6.5475 5.6839 4.4623
O 0.7651 4.8942 2.8782
O 3.4561 6.6885 7.0673
O 2.2506 4.5766 0.3988
Co 3.6920 5.5876 1.5333
O 2.1766 6.9823 1.7039
O 7.5055 8.7131 5.7878
```

***

## b
Below is an optimized crystal structure of Co2P2O7, with properties calculated at the PBE with a Hubbard U level.

```
22
Lattice="-0.9600 5.0769 -1.2822 -0.0103 -0.0093 5.3843 8.9885 -0.0101 -1.2776" Properties=species:S:1:pos:R:3 pbc="T T T"
P -0.3359 3.9650 3.1622
O 0.5848 1.9209 1.4116
O 7.6561 0.3562 0.8159
O 7.4354 3.1354 1.4188
O 0.6465 3.1489 4.0133
O 2.8808 1.9237 -0.5515
O 4.4818 -0.0140 4.7453
P 8.3557 1.0951 -0.3388
Co 6.4090 1.5670 2.3489
O 8.9883 -0.0099 -1.2763
O 5.1381 3.1373 3.3715
O 5.0779 1.9199 0.7642
O 2.9436 3.1339 2.0565
O 7.3796 1.9184 -1.1918
P 3.8570 1.0986 0.3058
Co 6.1056 3.4840 -0.1670
O 3.1623 0.3603 1.4577
Co 1.6128 3.4638 0.4839
O 4.8549 4.6973 1.3654
Co 1.9082 1.5775 2.9895
P 4.1579 3.9605 2.5230
O 0.3536 4.7113 2.0049
```

***

Most stable pick: a. Distance to second place: 10 meV/atom.